Entry 1:
A plane-wave DFT calculation with PBE with a Hubbard U was carried out for a geometry-optimized LiMn2P4O14 structure.

Excess energy over the best structure of this formula in the dataset: 35 meV per atom

a b c (Å): 9.6588 9.7038 11.2186
angles (deg): 90.89 99.88 90.25
Closest atoms and distances in Å follow each position.
Sites, in units of the cell vectors:
Li 0.0000 0.0000 0.0000  4 O 1.91-2.09
Li 0.0149 0.3765 0.4379  4 O 1.90-2.04
Li 0.0684 0.6639 0.5154  3 O 1.80-1.97
Li 0.3157 0.1194 0.4896  3 O 1.83-2.04
Mn 0.1079 0.1560 0.6567  5 O 1.93-2.09
Mn 0.1445 0.3707 0.1542  4 O 1.94-2.08
Mn 0.2025 0.8576 0.8201  5 O 1.95-2.12
Mn 0.2184 0.6648 0.3094  5 O 1.91-2.12
Mn 0.6106 0.5190 0.6451  5 O 1.93-2.06
Mn 0.6341 0.3202 0.1461  5 O 1.94-2.11
Mn 0.6936 0.8156 0.8226  4 O 1.95-2.03
Mn 0.7134 0.0187 0.3242  5 O 1.97-2.04
P 0.0289 0.3790 0.8715  4 O 1.52-1.60
P 0.0406 0.9410 0.4098  4 O 1.51-1.62
P 0.2860 0.4300 0.5705  4 O 1.51-1.63
P 0.3042 0.8810 0.0948  4 O 1.52-1.59
P 0.3477 0.6563 0.7435  4 O 1.52-1.60
P 0.3856 0.1525 0.2254  4 O 1.48-1.62
P 0.4407 0.0300 0.7343  4 O 1.49-1.61
P 0.4878 0.5131 0.2312  4 O 1.52-1.59
P 0.5329 0.3043 0.8622  4 O 1.53-1.59
P 0.5401 0.7400 0.4083  4 O 1.52-1.63
P 0.7819 0.2412 0.5585  4 O 1.53-1.63
P 0.7957 0.8047 0.1074  4 O 1.51-1.60
P 0.8419 0.0180 0.7376  4 O 1.52-1.60
P 0.8924 0.5364 0.2351  4 O 1.49-1.62
P 0.9417 0.6497 0.7471  4 O 1.49-1.62
P 0.9813 0.1589 0.2291  4 O 1.50-1.61
O 0.0138 0.5011 0.7766  2 P 1.60-1.62
O 0.0276 0.7545 0.8348  1 P 1.54
O 0.0507 0.5490 0.2076  1 P 1.62
O 0.0531 0.0197 0.2856  2 P 1.61-1.62
O 0.0730 0.2814 0.2937  1 P 1.57
O 0.0969 0.2612 0.8101  1 P 1.53
O 0.0986 0.7951 0.3909  1 P 1.55
O 0.1236 0.4325 0.9879  1 P 1.54
O 0.1319 0.0260 0.5112  1 P 1.54
O 0.1830 0.5077 0.4768  1 P 1.53
O 0.2008 0.9337 0.9821  1 P 1.56
O 0.2339 0.2811 0.5883  1 P 1.55
O 0.2394 0.7601 0.1505  1 P 1.52
O 0.2467 0.7656 0.6729  1 P 1.57
O 0.2835 0.5078 0.6999  2 P 1.60-1.63
O 0.2890 0.0356 0.7694  1 P 1.58
O 0.2999 0.2516 0.1339  1 P 1.55
O 0.3150 0.0018 0.1936  2 P 1.59-1.62
O 0.3331 0.5100 0.2545  1 P 1.56
O 0.3325 0.6856 0.8738  1 P 1.52
O 0.3762 0.1798 0.3539  1 P 1.48
O 0.3799 0.7400 0.4126  1 P 1.56
O 0.3886 0.3450 0.8885  1 P 1.53
O 0.4358 0.4280 0.5487  1 P 1.51
O 0.4366 0.0130 0.6016  1 P 1.49
O 0.4503 0.8484 0.0684  1 P 1.52
O 0.4994 0.6602 0.7166  1 P 1.55
O 0.5063 0.4939 0.0999  1 P 1.52
O 0.5149 0.1773 0.7695  2 P 1.59-1.61
O 0.5242 0.9256 0.8192  1 P 1.54
O 0.5368 0.1427 0.1946  1 P 1.56
O 0.5539 0.6563 0.2839  2 P 1.59-1.63
O 0.5825 0.3961 0.2943  1 P 1.56
O 0.5904 0.8851 0.3870  1 P 1.52
O 0.6039 0.4161 0.7988  1 P 1.53
O 0.6220 0.6632 0.5147  1 P 1.52
O 0.6251 0.2566 0.9802  1 P 1.54
O 0.6958 0.1577 0.4552  1 P 1.53
O 0.7018 0.7556 0.9889  1 P 1.54
O 0.7193 0.9141 0.1729  1 P 1.54
O 0.7273 0.3853 0.5806  1 P 1.53
O 0.7465 0.8975 0.6783  1 P 1.55
O 0.7771 0.1597 0.6841  2 P 1.60-1.63
O 0.7899 0.6416 0.7790  1 P 1.57
O 0.8158 0.6790 0.1989  2 P 1.60
O 0.8183 0.4257 0.1482  1 P 1.53
O 0.8300 0.1625 0.2578  1 P 1.55
O 0.8368 0.0082 0.8715  1 P 1.52
O 0.8844 0.3398 0.8977  1 P 1.52
O 0.8875 0.9318 0.4220  1 P 1.51
O 0.8942 0.5191 0.3674  1 P 1.49
O 0.9390 0.2529 0.5493  1 P 1.54
O 0.9394 0.8497 0.0869  1 P 1.51
O 0.9419 0.6709 0.6162  1 P 1.49
O 0.9948 0.0120 0.7098  1 P 1.56
O 0.9975 0.1645 0.0984  1 P 1.50



Entry 2:
A plane-wave DFT calculation with PBE with a Hubbard U was carried out for a geometry-optimized Li3Mn3P4O16 structure.

Excess energy over the best structure of this formula in the dataset: 24 meV per atom

a b c (Å): 8.1013 9.0689 13.4239
angles (deg): 94.58 90.10 90.02
Closest atoms and distances in Å follow each position.
Sites, in units of the cell vectors:
Li 0.0000 0.0000 0.0000  4 O 2.00-2.22
Li 0.0080 0.6431 0.6683  4 O 1.95-2.18
Li 0.1390 0.3788 0.0077  5 O 1.98-2.20
Li 0.3437 0.5418 0.6770  3 O 1.96-2.05
Li 0.4762 0.4787 0.0000  4 O 1.95-2.17
Li 0.4843 0.1684 0.6650  5 O 2.00-2.24
Li 0.5061 0.8292 0.3358  4 O 1.95-2.17
Li 0.8452 0.9291 0.3285  4 O 1.98-2.20
Li 0.9873 0.3072 0.3416  4 O 2.01-2.18
Mn 0.1355 0.7107 0.3339  5 O 1.93-2.04
Mn 0.1434 0.0425 0.6732  5 O 1.95-2.18
Mn 0.3394 0.2011 0.3462  4 O 1.92-1.98
Mn 0.3421 0.8754 0.0010  5 O 1.94-2.12
Mn 0.6323 0.7595 0.6707  5 O 1.92-2.05
Mn 0.6362 0.4283 0.3379  5 O 1.95-2.10
Mn 0.6368 0.1012 0.9981  4 O 1.94-2.01
Mn 0.8412 0.2734 0.6574  4 O 1.92-1.98
Mn 0.8485 0.5945 0.0038  5 O 1.92-2.04
P 0.1852 0.6737 0.8878  4 O 1.50-1.59
P 0.1915 0.3508 0.5578  4 O 1.51-1.63
P 0.1942 0.0055 0.2235  4 O 1.53-1.58
P 0.2893 0.1837 0.8909  4 O 1.51-1.64
P 0.2940 0.5100 0.2215  4 O 1.49-1.58
P 0.2942 0.8412 0.5567  4 O 1.52-1.58
P 0.6896 0.7958 0.1155  4 O 1.49-1.59
P 0.6930 0.1217 0.4462  4 O 1.51-1.64
P 0.6952 0.4672 0.7810  4 O 1.52-1.58
P 0.7889 0.3013 0.1145  4 O 1.52-1.58
P 0.7924 0.9627 0.7798  4 O 1.52-1.57
P 0.7953 0.6325 0.4475  4 O 1.51-1.58
O 0.0585 0.5751 0.9386  1 P 1.55
O 0.0602 0.2378 0.6030  1 P 1.63
O 0.0741 0.8997 0.2707  1 P 1.54
O 0.1225 0.8368 0.6111  1 P 1.57
O 0.1237 0.5024 0.2778  1 P 1.58
O 0.1254 0.1632 0.9426  1 P 1.52
O 0.1275 0.5077 0.5741  1 P 1.51
O 0.1463 0.8432 0.9189  1 P 1.59
O 0.1473 0.1712 0.2550  1 P 1.57
O 0.1940 0.6376 0.7772  1 P 1.50
O 0.1963 0.3016 0.4432  1 P 1.57
O 0.2000 0.9726 0.1103  1 P 1.53
O 0.2842 0.8031 0.4448  1 P 1.52
O 0.2882 0.1318 0.7773  1 P 1.56
O 0.2890 0.4710 0.1113  1 P 1.49
O 0.3351 0.0093 0.5860  1 P 1.58
O 0.3348 0.6782 0.2527  1 P 1.58
O 0.3542 0.3398 0.9096  1 P 1.51
O 0.3555 0.3309 0.6096  1 P 1.52
O 0.3574 0.6699 0.9442  1 P 1.59
O 0.3700 0.0046 0.2743  1 P 1.58
O 0.4210 0.0701 0.9379  1 P 1.64
O 0.4210 0.4083 0.2737  1 P 1.58
O 0.4224 0.7402 0.6036  1 P 1.55
O 0.5605 0.2350 0.4008  1 P 1.64
O 0.5620 0.8973 0.0625  1 P 1.59
O 0.5737 0.5724 0.7333  1 P 1.54
O 0.6138 0.3020 0.0621  1 P 1.58
O 0.6230 0.9709 0.7243  1 P 1.57
O 0.6245 0.6373 0.3911  1 P 1.58
O 0.6279 0.9654 0.4290  1 P 1.51
O 0.6480 0.6282 0.0845  1 P 1.58
O 0.6502 0.3010 0.7488  1 P 1.58
O 0.6943 0.8363 0.2254  1 P 1.49
O 0.6979 0.1712 0.5604  1 P 1.56
O 0.7015 0.5005 0.8938  1 P 1.52
O 0.7812 0.3350 0.2272  1 P 1.52
O 0.7821 0.0021 0.8920  1 P 1.52
O 0.7832 0.6724 0.5590  1 P 1.51
O 0.8329 0.1340 0.0836  1 P 1.58
O 0.8328 0.4629 0.4202  1 P 1.58
O 0.8335 0.7949 0.7531  1 P 1.57
O 0.8557 0.1422 0.3935  1 P 1.52
O 0.8593 0.8042 0.0587  1 P 1.58
O 0.8696 0.4701 0.7288  1 P 1.58
O 0.9102 0.4053 0.0670  1 P 1.54
O 0.9225 0.0644 0.7335  1 P 1.56
O 0.9244 0.7310 0.4001  1 P 1.55



Entry 3:
A plane-wave DFT calculation with PBE with a Hubbard U was carried out for a geometry-optimized Li2Mn2P3O12 structure.

Excess energy over the best structure of this formula in the dataset: 11 meV per atom

a b c (Å): 8.3662 8.3955 8.6698
angles (deg): 61.44 89.25 61.80
Closest atoms and distances in Å follow each position.
Sites, in units of the cell vectors:
Li 0.1049 0.1320 0.1396  3 O 1.90-2.09
Li 0.3071 0.6921 0.4527  5 O 2.03-2.19
Li 0.6929 0.3079 0.5473  5 O 2.03-2.19
Li 0.8951 0.8680 0.8604  3 O 1.90-2.09
Mn 0.1471 0.2012 0.4448  6 O 1.91-1.99
Mn 0.3664 0.7772 0.0755  4 O 1.90-2.05
Mn 0.6336 0.2228 0.9245  4 O 1.90-2.05
Mn 0.8529 0.7988 0.5552  6 O 1.91-1.99
P 0.0389 0.7072 0.2527  4 O 1.53-1.58
P 0.2452 0.7190 0.7379  4 O 1.52-1.57
P 0.4626 0.0090 0.2499  4 O 1.53-1.57
P 0.5374 0.9910 0.7501  4 O 1.53-1.57
P 0.7548 0.2810 0.2621  4 O 1.52-1.57
P 0.9611 0.2928 0.7473  4 O 1.53-1.58
O 0.0152 0.7786 0.3946  1 P 1.58
O 0.0287 0.5089 0.3169  1 P 1.53
O 0.0447 0.7500 0.7330  1 P 1.57
O 0.1064 0.1105 0.9316  1 P 1.53
O 0.2389 0.9028 0.5557  1 P 1.57
O 0.2439 0.6544 0.2460  1 P 1.56
O 0.2999 0.1839 0.2726  1 P 1.56
O 0.3015 0.7114 0.9081  1 P 1.52
O 0.3503 0.1474 0.5999  1 P 1.53
O 0.3804 0.5236 0.7294  1 P 1.53
O 0.3844 0.8721 0.2493  1 P 1.57
O 0.4812 0.1321 0.0587  1 P 1.53
O 0.5188 0.8679 0.9413  1 P 1.53
O 0.6156 0.1279 0.7507  1 P 1.57
O 0.6196 0.4764 0.2706  1 P 1.53
O 0.6497 0.8526 0.4001  1 P 1.53
O 0.6985 0.2886 0.0919  1 P 1.52
O 0.7001 0.8161 0.7274  1 P 1.56
O 0.7561 0.3456 0.7540  1 P 1.56
O 0.7611 0.0972 0.4443  1 P 1.57
O 0.8936 0.8895 0.0684  1 P 1.53
O 0.9553 0.2500 0.2670  1 P 1.57
O 0.9713 0.4911 0.6831  1 P 1.53
O 0.9848 0.2214 0.6054  1 P 1.58



Entry 4:
A plane-wave DFT calculation with PBE with a Hubbard U was carried out for a geometry-optimized LiMnPO4 structure.

Excess energy over the best structure of this formula in the dataset: 52 meV per atom

a b c (Å): 6.0816 5.1074 11.5309
angles (deg): 90.00 90.04 90.00
Closest atoms and distances in Å follow each position.
Sites, in units of the cell vectors:
Li 0.2156 0.9996 0.0621  4 O 1.96-2.16
Li 0.2844 0.0000 0.5620  4 O 1.96-2.16
Li 0.7156 0.5000 0.4380  4 O 1.96-2.16
Li 0.7844 0.4996 0.9379  4 O 1.96-2.16
Mn 0.0311 0.4957 0.6690  4 O 2.06-2.11
Mn 0.4691 0.4951 0.1690  4 O 2.06-2.11
Mn 0.5309 0.9951 0.8310  4 O 2.06-2.11
Mn 0.9689 0.9957 0.3310  4 O 2.06-2.11
P 0.2349 0.5031 0.4144  4 O 1.55-1.56
P 0.2652 0.5028 0.9145  4 O 1.55-1.56
P 0.7348 0.0028 0.0855  4 O 1.55-1.56
P 0.7651 0.0031 0.5856  4 O 1.55-1.56
O 0.0214 0.3981 0.3546  1 P 1.56
O 0.0568 0.4223 0.8439  1 P 1.56
O 0.2204 0.8062 0.4191  1 P 1.55
O 0.2427 0.3885 0.0391  1 P 1.56
O 0.2572 0.3889 0.5391  1 P 1.56
O 0.2797 0.8059 0.9191  1 P 1.55
O 0.4432 0.4224 0.3440  1 P 1.56
O 0.4785 0.3976 0.8547  1 P 1.56
O 0.5215 0.8976 0.1453  1 P 1.56
O 0.5568 0.9224 0.6560  1 P 1.56
O 0.7203 0.3059 0.0809  1 P 1.55
O 0.7428 0.8889 0.4609  1 P 1.56
O 0.7573 0.8885 0.9609  1 P 1.56
O 0.7796 0.3062 0.5809  1 P 1.55
O 0.9432 0.9223 0.1561  1 P 1.56
O 0.9786 0.8981 0.6454  1 P 1.56



Entry 5:
A plane-wave DFT calculation with PBE with a Hubbard U was carried out for a geometry-optimized LiMnPO4 structure.

Excess energy over the best structure of this formula in the dataset: 91 meV per atom

a b c (Å): 6.3074 5.3969 9.0578
angles (deg): 90.00 90.00 90.00
Closest atoms and distances in Å follow each position.
Sites, in units of the cell vectors:
Li 0.1828 0.2500 0.0053  2 O 1.94-1.99
Li 0.3172 0.7500 0.5053  2 O 1.94-1.99
Li 0.6828 0.2500 0.4947  2 O 1.94-1.99
Li 0.8172 0.7500 0.9947  2 O 1.94-1.99
Mn 0.0159 0.2500 0.7129  6 O 2.22-2.40
Mn 0.4841 0.7500 0.2129  6 O 2.22-2.40
Mn 0.5159 0.2500 0.7871  6 O 2.22-2.40
Mn 0.9841 0.7500 0.2871  6 O 2.22-2.40
P 0.2180 0.2500 0.4096  4 O 1.54-1.57
P 0.2820 0.7500 0.9096  4 O 1.54-1.57
P 0.7180 0.2500 0.0904  4 O 1.54-1.57
P 0.7820 0.7500 0.5904  4 O 1.54-1.57
O 0.0115 0.7500 0.5312  1 P 1.54
O 0.1251 0.7500 0.0415  1 P 1.55
O 0.2451 0.5110 0.8148  1 P 1.57
O 0.2451 0.9890 0.8148  1 P 1.57
O 0.2549 0.0110 0.3148  1 P 1.57
O 0.2549 0.4890 0.3148  1 P 1.57
O 0.3749 0.2500 0.5415  1 P 1.55
O 0.4885 0.2500 0.0312  1 P 1.54
O 0.5115 0.7500 0.9688  1 P 1.54
O 0.6251 0.7500 0.4585  1 P 1.55
O 0.7451 0.5110 0.6852  1 P 1.57
O 0.7451 0.9890 0.6852  1 P 1.57
O 0.7549 0.0110 0.1852  1 P 1.57
O 0.7549 0.4890 0.1852  1 P 1.57
O 0.8749 0.2500 0.9585  1 P 1.55
O 0.9885 0.2500 0.4688  1 P 1.54



Entry 6:
A plane-wave DFT calculation with PBE with a Hubbard U was carried out for a geometry-optimized LiMn2P2O8 structure.

Excess energy over the best structure of this formula in the dataset: 56 meV per atom

a b c (Å): 8.7836 5.1171 10.0960
angles (deg): 90.00 124.52 90.00
Closest atoms and distances in Å follow each position.
Sites, in units of the cell vectors:
Li 0.0000 0.0610 0.0000  4 O 1.99-2.06
Li 0.0000 0.9390 0.5000  4 O 1.99-2.06
Mn 0.4955 0.0468 0.2533  4 O 2.05-2.14
Mn 0.4955 0.9532 0.7533  4 O 2.05-2.14
Mn 0.9982 0.4420 0.7372  4 O 1.93-1.95
Mn 0.9982 0.5580 0.2372  4 O 1.93-1.95
P 0.2473 0.4559 0.6166  4 O 1.52-1.60
P 0.2473 0.5441 0.1166  4 O 1.52-1.60
P 0.7511 0.0431 0.1246  4 O 1.52-1.59
P 0.7511 0.9569 0.6246  4 O 1.52-1.59
O 0.0768 0.4132 0.1081  1 P 1.60
O 0.0768 0.5868 0.6081  1 P 1.60
O 0.2183 0.4762 0.9542  1 P 1.55
O 0.2183 0.5238 0.4542  1 P 1.55
O 0.2375 0.1570 0.6387  1 P 1.55
O 0.2375 0.8430 0.1387  1 P 1.55
O 0.4295 0.4301 0.2548  1 P 1.52
O 0.4295 0.5699 0.7548  1 P 1.52
O 0.5673 0.0352 0.5955  1 P 1.52
O 0.5673 0.9648 0.0955  1 P 1.52
O 0.7571 0.0168 0.4770  1 P 1.55
O 0.7571 0.9832 0.9770  1 P 1.55
O 0.7880 0.3372 0.1705  1 P 1.55
O 0.7880 0.6628 0.6705  1 P 1.55
O 0.9179 0.1109 0.7730  1 P 1.59
O 0.9179 0.8891 0.2730  1 P 1.59



> Among the records above, which one has the highest excess energy over the best structure of this formula in the dataset?

number 5